Density functional theory data (PBE+U) for an optimized crystal structure of Li6TiMn3P6O24.

Unit cell a=8.620 b=8.657 c=8.766 alpha=61.44 beta=61.38 gamma=61.41
Fractional coordinates of all 40 atoms:
P 0.249 0.951 0.553
O 0.388 0.184 0.016
Mn 0.643 0.640 0.646
Mn 0.855 0.857 0.854
O 0.880 0.479 0.714
O 0.544 0.308 0.094
O 0.491 0.730 0.876
O 0.762 0.555 0.397
O 0.935 0.743 0.101
P 0.956 0.552 0.252
O 0.588 0.232 0.429
Li 0.003 0.981 0.974
O 0.438 0.588 0.229
O 0.231 0.442 0.598
O 0.998 0.618 0.819
P 0.041 0.459 0.758
O 0.078 0.264 0.916
O 0.743 0.078 0.934
Ti 0.149 0.151 0.149
O 0.090 0.922 0.737
O 0.306 0.103 0.539
O 0.263 0.913 0.088
O 0.184 0.020 0.385
P 0.560 0.249 0.946
Li 0.725 0.346 0.144
P 0.459 0.756 0.049
Li 0.508 0.493 0.521
O 0.104 0.521 0.323
O 0.709 0.885 0.449
O 0.023 0.387 0.181
P 0.750 0.041 0.447
O 0.417 0.771 0.535
Li 0.153 0.714 0.346
Li 0.649 0.835 0.258
O 0.790 0.994 0.617
O 0.558 0.403 0.761
Mn 0.354 0.347 0.350
O 0.618 0.803 0.036
Li 0.343 0.153 0.719
O 0.914 0.083 0.262

Properties
space group: P1 (1)
magnetic moment: 13.00 μB per cell

Density functional theory data (PBE+U) for an optimized crystal structure of Mn4P2O9.

Unit cell a=11.706 b=6.775 c=9.653 alpha=76.19 beta=90.00 gamma=90.00
Fractional coordinates of all 60 atoms:
O 0.205 0.326 0.516
Mn 0.619 0.764 0.753
O 0.490 0.769 0.106
O 0.120 0.892 0.796
P 0.171 0.295 0.075
O 0.713 0.140 0.940
O 0.880 0.108 0.204
O 0.510 0.231 0.894
O 0.609 0.508 0.418
Mn 0.632 0.532 0.180
Mn 0.397 0.815 0.534
Mn 0.103 0.815 0.034
O 0.213 0.860 0.560
O 0.169 0.544 0.756
O 0.705 0.674 0.984
O 0.891 0.508 0.918
O 0.331 0.544 0.256
P 0.870 0.239 0.315
Mn 0.900 0.043 0.619
O 0.691 0.819 0.264
O 0.558 0.247 0.235
Mn 0.100 0.957 0.381
Mn 0.603 0.185 0.466
O 0.903 0.835 0.006
Mn 0.400 0.957 0.881
O 0.109 0.492 0.082
O 0.620 0.108 0.704
O 0.295 0.326 0.016
Mn 0.600 0.043 0.119
O 0.309 0.181 0.736
Mn 0.868 0.532 0.680
Mn 0.368 0.468 0.820
O 0.391 0.492 0.582
P 0.329 0.295 0.575
O 0.287 0.860 0.060
P 0.829 0.705 0.925
O 0.795 0.674 0.484
Mn 0.119 0.236 0.747
O 0.809 0.819 0.764
O 0.787 0.140 0.440
O 0.990 0.231 0.394
O 0.097 0.165 0.994
P 0.671 0.705 0.425
O 0.831 0.456 0.244
P 0.630 0.239 0.815
Mn 0.881 0.764 0.253
P 0.370 0.761 0.185
O 0.191 0.181 0.236
O 0.010 0.769 0.606
Mn 0.897 0.185 0.966
O 0.058 0.753 0.265
O 0.669 0.456 0.744
Mn 0.132 0.468 0.320
Mn 0.381 0.236 0.247
O 0.403 0.165 0.494
O 0.942 0.247 0.735
O 0.380 0.892 0.296
O 0.442 0.753 0.765
P 0.130 0.761 0.685
O 0.597 0.835 0.506

Properties
space group: P2_1/c (14)
magnetic moment: 80.00 μB per cell

Density functional theory data (PBE+U) for an optimized crystal structure of Ti3FeNi2P6O24.

Unit cell a=8.493 b=8.493 c=8.493 alpha=61.12 beta=61.12 gamma=61.12
Fractional coordinates of all 36 atoms:
O 0.503 0.685 0.882
O 0.330 0.113 0.485
P 0.954 0.544 0.252
O 0.882 0.503 0.685
O 0.432 0.588 0.244
O 0.819 0.017 0.603
O 0.244 0.432 0.588
P 0.544 0.252 0.954
O 0.950 0.737 0.099
P 0.453 0.753 0.048
O 0.099 0.950 0.737
O 0.757 0.552 0.414
O 0.113 0.485 0.330
O 0.002 0.380 0.185
P 0.753 0.048 0.453
Ti 0.355 0.355 0.355
O 0.380 0.185 0.002
O 0.253 0.910 0.058
P 0.048 0.453 0.753
Ni 0.997 0.997 0.997
O 0.737 0.099 0.950
O 0.017 0.603 0.819
O 0.552 0.414 0.757
O 0.910 0.058 0.253
O 0.485 0.330 0.113
O 0.058 0.253 0.910
P 0.252 0.954 0.544
O 0.685 0.882 0.503
O 0.185 0.002 0.380
O 0.588 0.244 0.432
Ti 0.143 0.143 0.143
Ni 0.499 0.499 0.499
O 0.603 0.819 0.017
Fe 0.857 0.857 0.857
O 0.414 0.757 0.552
Ti 0.646 0.646 0.646

Properties
space group: R3 (146)
magnetic moment: 8.00 μB per cell

Density functional theory data (PBE+U) for an optimized crystal structure of Mn2GeO4.

Unit cell a=5.120 b=6.387 c=10.889 alpha=90.00 beta=90.00 gamma=90.00
Fractional coordinates of all 28 atoms:
O 0.225 0.470 0.665
Mn 0.507 0.250 0.779
O 0.275 0.470 0.165
Mn 0.000 0.500 0.000
O 0.221 0.750 0.906
O 0.725 0.970 0.835
O 0.720 0.750 0.054
Mn 0.000 0.000 0.000
Mn 0.993 0.250 0.279
O 0.225 0.030 0.665
Ge 0.935 0.750 0.404
Ge 0.065 0.250 0.596
Mn 0.500 0.500 0.500
O 0.275 0.030 0.165
O 0.721 0.250 0.594
O 0.220 0.250 0.446
Ge 0.435 0.250 0.096
Ge 0.565 0.750 0.904
O 0.775 0.970 0.335
O 0.780 0.750 0.554
O 0.280 0.250 0.946
O 0.725 0.530 0.835
O 0.775 0.530 0.335
Mn 0.007 0.750 0.721
Mn 0.500 0.000 0.500
Mn 0.493 0.750 0.221
O 0.779 0.250 0.094
O 0.279 0.750 0.406

Properties
space group: Pnma (62)

Density functional theory data (PBE+U) for an optimized crystal structure of Sr6Ca2Co5Cu3O24.

Unit cell a=7.822 b=7.618 c=7.753 alpha=89.95 beta=90.00 gamma=90.00
Fractional coordinates of all 40 atoms:
O 0.251 0.500 0.500
O 0.503 0.759 0.501
O 0.504 0.502 0.734
Sr 0.247 0.249 0.249
O 0.749 0.500 0.500
O 0.503 0.241 0.499
Ca 0.756 0.751 0.751
Co 0.503 0.000 0.500
Sr 0.247 0.751 0.249
O 0.504 0.739 0.997
O 0.250 0.500 0.000
Sr 0.247 0.751 0.751
Co 0.502 0.500 0.500
O 0.505 0.997 0.749
Cu 0.999 0.000 0.000
O 0.505 0.003 0.251
O 0.995 0.498 0.250
O 0.249 0.000 0.500
Sr 0.247 0.249 0.751
Sr 0.753 0.751 0.249
O 0.504 0.498 0.266
O 0.996 0.743 0.502
O 0.750 0.500 0.000
O 0.251 0.000 0.000
Ca 0.756 0.249 0.249
O 0.996 0.258 0.003
O 0.504 0.261 0.003
Co 0.501 0.500 0.000
Cu 0.501 0.000 0.000
Co 0.998 0.500 0.000
Cu 0.000 0.000 0.500
O 0.752 0.000 0.500
O 0.993 0.005 0.250
O 0.750 0.000 0.000
O 0.996 0.257 0.498
Sr 0.753 0.249 0.751
O 0.995 0.502 0.750
O 0.996 0.742 0.997
O 0.993 0.995 0.750
Co 0.999 0.500 0.500

Properties
space group: P2 (3)
magnetic moment: 17.51 μB per cell

Density functional theory data (PBE+U) for an optimized crystal structure of Li2VOF4.

Unit cell a=5.107 b=10.341 c=7.492 alpha=79.63 beta=70.08 gamma=104.29
Fractional coordinates of all 32 atoms:
F 0.588 0.644 0.817
F 0.337 0.107 0.753
Li 0.354 0.479 0.767
F 0.238 0.394 0.567
Li 0.646 0.522 0.233
F 0.018 0.357 0.002
V 0.000 0.500 0.500
O 0.135 0.625 0.625
Li 0.357 0.728 0.017
F 0.762 0.606 0.433
V 0.000 0.750 0.750
F 0.982 0.643 0.998
O 0.865 0.875 0.875
O 0.865 0.375 0.375
F 0.238 0.894 0.067
Li 0.643 0.272 0.983
Li 0.646 0.022 0.733
Li 0.354 0.978 0.267
F 0.663 0.393 0.748
F 0.589 0.144 0.317
F 0.337 0.607 0.252
V 0.000 0.250 0.250
V 0.000 0.000 0.000
Li 0.642 0.771 0.483
O 0.135 0.125 0.125
F 0.411 0.856 0.683
F 0.412 0.356 0.183
Li 0.357 0.228 0.517
F 0.018 0.857 0.502
F 0.982 0.143 0.497
F 0.762 0.106 0.933
F 0.663 0.893 0.248

Properties
magnetic moment: 0.00 μB per cell

Density functional theory data (PBE+U) for an optimized crystal structure of Li4V3P8O29.

Unit cell a=9.743 b=9.743 c=14.215 alpha=89.95 beta=89.95 gamma=60.01
Fractional coordinates of all 88 atoms:
Li 0.097 0.671 0.557
O 0.794 0.216 0.425
O 0.084 0.377 0.829
P 0.659 0.673 0.867
O 0.664 0.525 0.820
O 0.185 0.333 0.175
Li 0.910 0.768 0.941
O 0.332 0.481 0.183
O 0.216 0.794 0.925
O 0.202 0.795 0.575
V 0.435 0.565 0.251
V 0.001 0.431 0.242
O 0.921 0.738 0.667
O 0.908 0.620 0.173
O 0.739 0.343 0.672
O 0.767 0.003 0.926
P 0.089 0.684 0.338
O 0.259 0.655 0.336
V 0.001 0.561 0.756
Li 0.341 0.897 0.945
O 0.262 0.079 0.834
P 0.684 0.089 0.838
O 0.340 0.915 0.664
O 0.797 0.198 0.249
O 0.003 0.767 0.426
O 0.199 0.005 0.422
O 0.979 0.232 0.567
O 0.510 0.820 0.821
O 0.198 0.797 0.749
P 0.673 0.659 0.367
V 0.431 0.001 0.742
P 0.909 0.778 0.158
O 0.187 0.487 0.673
O 0.377 0.084 0.329
O 0.678 0.811 0.335
O 0.002 0.794 0.247
Li 0.897 0.341 0.445
V 0.561 0.001 0.256
O 0.196 0.010 0.242
P 0.303 0.777 0.658
O 0.738 0.921 0.167
O 0.685 0.639 0.472
Li 0.768 0.910 0.441
O 0.910 0.469 0.673
O 0.525 0.664 0.320
P 0.223 0.695 0.844
P 0.911 0.314 0.658
O 0.481 0.332 0.683
O 0.820 0.510 0.321
O 0.232 0.979 0.067
O 0.341 0.336 0.528
O 0.655 0.259 0.836
P 0.777 0.303 0.158
O 0.620 0.908 0.673
O 0.639 0.685 0.972
P 0.216 0.086 0.339
O 0.915 0.340 0.164
O 0.083 0.662 0.844
Li 0.015 0.040 0.009
Li 0.671 0.097 0.057
O 0.336 0.341 0.028
P 0.334 0.337 0.633
Li 0.040 0.015 0.509
O 0.662 0.083 0.344
O 0.459 0.617 0.669
O 0.382 0.538 0.829
P 0.337 0.334 0.133
O 0.794 0.002 0.747
P 0.086 0.216 0.839
O 0.088 0.528 0.322
O 0.617 0.459 0.169
P 0.314 0.911 0.158
O 0.010 0.196 0.742
O 0.469 0.910 0.173
V 0.565 0.435 0.751
O 0.333 0.185 0.675
O 0.538 0.382 0.329
O 0.343 0.739 0.172
O 0.005 0.199 0.922
O 0.785 0.980 0.567
O 0.079 0.262 0.334
O 0.811 0.678 0.835
O 0.795 0.202 0.075
O 0.980 0.785 0.067
P 0.695 0.223 0.344
O 0.528 0.088 0.822
P 0.778 0.909 0.658
O 0.487 0.187 0.173

Properties
space group: Cc (9)
magnetic moment: 2.00 μB per cell

Density functional theory data (PBE+U) for an optimized crystal structure of La2MgMnO6.

Unit cell a=7.841 b=7.841 c=9.488 alpha=113.30 beta=66.70 gamma=89.18
Fractional coordinates of all 40 atoms:
O 0.724 0.549 0.035
Mn 0.250 0.250 0.500
Mg 0.750 0.250 0.500
Mn 0.500 0.500 0.000
Mg 0.500 0.000 0.000
O 0.097 0.335 0.741
O 0.301 0.993 0.468
O 0.653 0.415 0.759
O 0.276 0.451 0.965
La 0.125 0.375 0.251
O 0.403 0.165 0.259
O 0.551 0.243 0.968
Mn 0.750 0.750 0.500
O 0.776 0.951 0.965
O 0.801 0.493 0.468
O 0.847 0.085 0.241
La 0.625 0.875 0.251
O 0.224 0.049 0.035
O 0.153 0.915 0.759
La 0.375 0.125 0.749
Mg 0.000 0.500 0.000
O 0.526 0.701 0.465
La 0.375 0.625 0.751
O 0.974 0.799 0.535
O 0.474 0.299 0.535
Mn 0.000 0.000 0.000
La 0.875 0.125 0.751
O 0.597 0.835 0.741
O 0.699 0.007 0.532
O 0.026 0.201 0.465
La 0.625 0.375 0.249
O 0.199 0.507 0.532
O 0.449 0.757 0.032
O 0.347 0.585 0.241
La 0.875 0.625 0.749
La 0.125 0.875 0.249
O 0.903 0.665 0.259
O 0.949 0.257 0.032
Mg 0.250 0.750 0.500
O 0.051 0.743 0.968

Properties
magnetic moment: 0.00 μB per cell

Density functional theory data (PBE+U) for an optimized crystal structure of Li2FeCo3O8.

Unit cell a=5.735 b=5.735 c=5.735 alpha=59.67 beta=59.67 gamma=59.67
Fractional coordinates of all 14 atoms:
Li 0.123 0.123 0.123
O 0.741 0.741 0.741
O 0.246 0.246 0.712
O 0.747 0.286 0.747
Co 0.011 0.498 0.498
O 0.246 0.712 0.246
Co 0.498 0.011 0.498
O 0.286 0.747 0.747
O 0.747 0.747 0.286
Fe 0.881 0.881 0.881
O 0.265 0.265 0.265
Co 0.498 0.498 0.011
O 0.712 0.246 0.246
Li 0.499 0.499 0.499

Properties
space group: R3m (160)
magnetic moment: 9.01 μB per cell

no.,DFT formation energy (eV per formula unit)
1,-105.46
2,-36.84
3,-97.44
4,-14.80
5,-74.98
6,-24.16
7,-113.34
8,-31.90
9,-20.62